The following is a GGA+U calculation of Li2Fe2Si6O15 after structural relaxation, from the Materials Project.

* symmetry: No. 64
* DFT total energy: -720.47 eV for the cell shown
* ΔH_f (0 K): -2.70 eV/atom

Cell lengths 11.5113, 11.5113, 10.2700 Å; angles 90.00, 90.00, 100.47 degrees
Fractional coordinates of all 100 atoms:
Li (0.0080, 0.4920, 0.2500)
Li (0.1055, 0.8945, 0.7540)
Li (0.3945, 0.6055, 0.2540)
Li (0.4920, 0.0080, 0.7500)
Li (0.5080, 0.9920, 0.2500)
Li (0.6055, 0.3945, 0.7460)
Li (0.8945, 0.1055, 0.2460)
Li (0.9920, 0.5080, 0.7500)
Fe (0.1627, 0.3373, 0.2500)
Fe (0.2472, 0.2472, 0.0000)
Fe (0.2528, 0.2528, 0.5000)
Fe (0.3373, 0.1627, 0.7500)
Fe (0.6627, 0.8373, 0.2500)
Fe (0.7472, 0.7472, 0.5000)
Fe (0.7528, 0.7528, 0.0000)
Fe (0.8373, 0.6627, 0.7500)
Si (0.0254, 0.7620, 0.4865)
Si (0.0331, 0.1809, 0.8109)
Si (0.0826, 0.7000, 0.9552)
Si (0.1809, 0.0331, 0.1891)
Si (0.2000, 0.5826, 0.4552)
Si (0.2380, 0.9746, 0.4865)
Si (0.2620, 0.5254, 0.9865)
Si (0.3000, 0.9174, 0.9552)
Si (0.3191, 0.4669, 0.6891)
Si (0.4174, 0.8000, 0.4552)
Si (0.4669, 0.3191, 0.3109)
Si (0.4746, 0.7380, 0.9865)
Si (0.5254, 0.2620, 0.0135)
Si (0.5331, 0.6809, 0.6891)
Si (0.5826, 0.2000, 0.5448)
Si (0.6809, 0.5331, 0.3109)
Si (0.7000, 0.0826, 0.0448)
Si (0.7380, 0.4746, 0.0135)
Si (0.7620, 0.0254, 0.5135)
Si (0.8000, 0.4174, 0.5448)
Si (0.8191, 0.9669, 0.8109)
Si (0.9174, 0.3000, 0.0448)
Si (0.9669, 0.8191, 0.1891)
Si (0.9746, 0.2380, 0.5135)
O (0.0053, 0.7272, 0.0821)
O (0.0079, 0.2361, 0.6686)
O (0.0083, 0.6605, 0.8264)
O (0.0481, 0.9519, 0.1779)
O (0.0907, 0.2501, 0.4256)
O (0.0980, 0.6537, 0.5085)
O (0.1147, 0.8853, 0.5343)
O (0.1537, 0.5980, 0.0085)
O (0.1605, 0.5083, 0.3264)
O (0.1671, 0.1673, 0.1614)
O (0.1673, 0.1671, 0.8386)
O (0.1755, 0.8245, 0.9170)
O (0.2272, 0.5053, 0.5821)
O (0.2361, 0.0079, 0.3314)
O (0.2501, 0.0907, 0.5744)
O (0.2499, 0.4093, 0.0744)
O (0.2639, 0.4921, 0.8314)
O (0.2728, 0.9947, 0.0821)
O (0.3245, 0.6755, 0.4170)
O (0.3327, 0.3329, 0.3386)
O (0.3329, 0.3327, 0.6614)
O (0.3395, 0.9917, 0.8264)
O (0.3463, 0.9020, 0.5085)
O (0.3853, 0.6147, 0.0343)
O (0.4020, 0.8463, 0.0085)
O (0.4093, 0.2499, 0.9256)
O (0.4519, 0.5481, 0.6779)
O (0.4921, 0.2639, 0.1686)
O (0.4917, 0.8395, 0.3264)
O (0.4947, 0.7728, 0.5821)
O (0.5053, 0.2272, 0.4179)
O (0.5083, 0.1605, 0.6736)
O (0.5079, 0.7361, 0.8314)
O (0.5481, 0.4519, 0.3221)
O (0.5907, 0.7501, 0.0744)
O (0.5980, 0.1537, 0.9915)
O (0.6147, 0.3853, 0.9657)
O (0.6537, 0.0980, 0.4915)
O (0.6605, 0.0083, 0.1736)
O (0.6671, 0.6673, 0.3386)
O (0.6673, 0.6671, 0.6614)
O (0.6755, 0.3245, 0.5830)
O (0.7272, 0.0053, 0.9179)
O (0.7361, 0.5079, 0.1686)
O (0.7501, 0.5907, 0.9256)
O (0.7499, 0.9093, 0.4256)
O (0.7639, 0.9921, 0.6686)
O (0.7728, 0.4947, 0.4179)
O (0.8245, 0.1755, 0.0830)
O (0.8327, 0.8329, 0.1614)
O (0.8329, 0.8327, 0.8386)
O (0.8395, 0.4917, 0.6736)
O (0.8463, 0.4020, 0.9915)
O (0.8853, 0.1147, 0.4657)
O (0.9020, 0.3463, 0.4915)
O (0.9093, 0.7499, 0.5744)
O (0.9519, 0.0481, 0.8221)
O (0.9917, 0.3395, 0.1736)
O (0.9921, 0.7639, 0.3314)
O (0.9947, 0.2728, 0.9179)